[1]
! Al3Ir (meta-GGA r2SCAN, optimized geometry); values from VASP
! Symmetry: P6_3/mmc (194)
! Energy relative to the elements, eV per atom: -0.767
! Total moment, μB/atom: 0.000
&SYSTEM
  ibrav = 0, nat = 8, ntyp = 2
/
ATOMIC_SPECIES
Al 26.98 Al.upf
Ir 192.22 Ir.upf
ATOMIC_POSITIONS crystal
Al 0.000 0.000 0.250
Al 0.000 0.000 0.750
Al 0.333 0.667 0.580
Al 0.667 0.333 0.080
Al 0.667 0.333 0.420
Al 0.333 0.667 0.920
Ir 0.333 0.667 0.250
Ir 0.667 0.333 0.750
CELL_PARAMETERS angstrom
-2.508 -0.548 3.413
-0.158 -2.784 -3.234
5.525 -4.239 3.380

=====

[2]
! AlIr (meta-GGA r2SCAN, optimized geometry); values from VASP
! Symmetry: Pm-3m (221)
! Energy relative to the elements, eV per atom: -1.071
! Total moment, μB/atom: 0.000
&SYSTEM
  ibrav = 0, nat = 2, ntyp = 2
/
ATOMIC_SPECIES
Al 26.98 Al.upf
Ir 192.22 Ir.upf
ATOMIC_POSITIONS crystal
Al 0.000 0.000 0.000
Ir 0.500 0.500 0.500
CELL_PARAMETERS angstrom
-1.785 -0.036 -2.404
-0.172 -2.985 0.173
-2.398 0.241 1.777

=====

[3]
! La2Al9Ir3 (meta-GGA r2SCAN, optimized geometry); values from VASP
! Symmetry: Cmcm (63)
! Energy relative to the elements, eV per atom: -0.910
! Total moment, μB/atom: 0.000
&SYSTEM
  ibrav = 0, nat = 28, ntyp = 3
/
ATOMIC_SPECIES
La 138.91 La.upf
Al 26.98 Al.upf
Ir 192.22 Ir.upf
ATOMIC_POSITIONS crystal
La 0.996 0.670 0.250
La 0.004 0.330 0.750
La 0.670 0.996 0.250
La 0.330 0.004 0.750
Al 0.133 0.133 0.250
Al 0.867 0.867 0.750
Al 0.005 0.335 0.072
Al 0.995 0.665 0.928
Al 0.995 0.665 0.572
Al 0.335 0.005 0.428
Al 0.005 0.335 0.428
Al 0.665 0.995 0.572
Al 0.665 0.995 0.928
Al 0.335 0.005 0.072
Al 0.335 0.335 0.542
Al 0.665 0.665 0.458
Al 0.665 0.665 0.042
Al 0.335 0.335 0.958
Al 0.339 0.544 0.250
Al 0.661 0.456 0.750
Al 0.544 0.339 0.250
Al 0.456 0.661 0.750
Ir 0.671 0.329 0.000
Ir 0.329 0.671 0.000
Ir 0.329 0.671 0.500
Ir 0.671 0.329 0.500
Ir 0.000 0.000 0.000
Ir 0.000 0.000 0.500
CELL_PARAMETERS angstrom
3.849 -6.575 0.000
3.849 6.575 0.000
0.000 0.000 9.646

=====

[4]
! Nd2Al9Ir3 (meta-GGA r2SCAN, optimized geometry); values from VASP
! Symmetry: Cmcm (63)
! Energy relative to the elements, eV per atom: -0.937
! Total moment, μB/atom: 0.000
&SYSTEM
  ibrav = 0, nat = 28, ntyp = 3
/
ATOMIC_SPECIES
Nd 144.24 Nd.upf
Al 26.98 Al.upf
Ir 192.22 Ir.upf
ATOMIC_POSITIONS crystal
Nd 0.995 0.671 0.250
Nd 0.005 0.329 0.750
Nd 0.671 0.995 0.250
Nd 0.329 0.005 0.750
Al 0.132 0.132 0.250
Al 0.868 0.868 0.750
Al 0.003 0.335 0.072
Al 0.997 0.665 0.928
Al 0.997 0.665 0.572
Al 0.335 0.003 0.428
Al 0.003 0.335 0.428
Al 0.665 0.997 0.572
Al 0.665 0.997 0.928
Al 0.335 0.003 0.072
Al 0.335 0.335 0.546
Al 0.665 0.665 0.454
Al 0.665 0.665 0.046
Al 0.335 0.335 0.954
Al 0.339 0.546 0.250
Al 0.661 0.454 0.750
Al 0.546 0.339 0.250
Al 0.454 0.661 0.750
Ir 0.671 0.329 0.000
Ir 0.329 0.671 0.000
Ir 0.329 0.671 0.500
Ir 0.671 0.329 0.500
Ir 0.000 0.000 0.000
Ir 0.000 0.000 0.500
CELL_PARAMETERS angstrom
5.526 3.060 -4.165
-5.862 -3.305 -3.459
-4.674 8.356 -0.062